(P)
The following is a DFT calculation (PBE-GGA) of a geometry-optimized CaBi2O5 structure.

magnetic moment	0.0	μB per cell

Cell and atoms, written as CIF:
```
data_CaBi2O5
_cell_length_a 4.2673
_cell_length_b 11.4353
_cell_length_c 13.1288
_cell_angle_alpha 90.00
_cell_angle_beta 90.00
_cell_angle_gamma 90.00
_space_group_name_H-M_alt 'C m c m'
_space_group_IT_number 63
_space_group_name_Hall '-C 2c 2'
loop_
_atom_site_label
_atom_site_fract_x
_atom_site_fract_y
_atom_site_fract_z
Ca1 0.0000 0.1023 0.2500
Bi1 0.0000 0.1977 0.5999
O1 0.0000 0.0257 0.6264
O2 0.0000 0.2433 0.0815
O3 0.0000 0.2924 0.7500
```

(Q)
The following is a DFT calculation (PBE-GGA) of a geometry-optimized CaBi2O5 structure.

magnetic moment	0.0	μB per cell

Cell and atoms, written as CIF:
```
data_CaBi2O5
_cell_length_a 5.9509
_cell_length_b 12.1609
_cell_length_c 8.8986
_cell_angle_alpha 90.00
_cell_angle_beta 109.48
_cell_angle_gamma 90.00
_space_group_name_H-M_alt 'P 1 21/c 1'
_space_group_IT_number 14
_space_group_name_Hall '-P 2ybc'
loop_
_atom_site_label
_atom_site_fract_x
_atom_site_fract_y
_atom_site_fract_z
Ca1 0.0447 0.0880 0.1722
Bi1 0.3597 0.6314 0.0433
Bi2 0.4609 0.0962 0.8511
O1 0.2112 0.7135 0.4949
O2 0.2153 0.5450 0.1861
O3 0.2725 0.0251 0.0141
O4 0.3158 0.2015 0.3498
O5 0.3273 0.5477 0.8355
```

Going by the computed energies, the most stable comes first: (Q), (P).

(P)
The following is a DFT calculation (PBE-GGA) of a geometry-optimized CaBiSbO5 structure.

magnetic moment	0.0	μB per cell

Cell and atoms, written as CIF:
```
data_CaBiSbO5
_cell_length_a 5.9431
_cell_length_b 12.2018
_cell_length_c 8.5751
_cell_angle_alpha 90.00
_cell_angle_beta 109.60
_cell_angle_gamma 90.00
_space_group_name_H-M_alt 'P 1 21/c 1'
_space_group_IT_number 14
_space_group_name_Hall '-P 2ybc'
loop_
_atom_site_label
_atom_site_fract_x
_atom_site_fract_y
_atom_site_fract_z
Ca1 0.0506 0.0859 0.1834
Bi1 0.4668 0.0926 0.8425
Sb1 0.3379 0.6441 0.0318
O1 0.1979 0.7124 0.4978
O2 0.2296 0.5553 0.1761
O3 0.2731 0.0239 0.0131
O4 0.2827 0.5687 0.8270
O5 0.3398 0.1892 0.3678
```

(Q)
The following is a DFT calculation (PBE-GGA) of a geometry-optimized CaBiSbO5 structure.

magnetic moment	0.0	μB per cell

Cell and atoms, written as CIF:
```
data_CaBiSbO5
_cell_length_a 5.6671
_cell_length_b 16.3700
_cell_length_c 11.6057
_cell_angle_alpha 90.00
_cell_angle_beta 90.00
_cell_angle_gamma 90.00
_space_group_name_H-M_alt 'P b c a'
_space_group_IT_number 61
_space_group_name_Hall '-P 2ac 2ab'
loop_
_atom_site_label
_atom_site_fract_x
_atom_site_fract_y
_atom_site_fract_z
Ca1 0.0006 0.0528 0.1402
Bi1 0.0497 0.2271 0.3424
Sb1 0.0153 0.5959 0.9009
O1 0.0698 0.6993 0.8255
O2 0.1487 0.0207 0.6932
O3 0.1767 0.1270 0.4692
O4 0.1886 0.0602 0.9565
O5 0.2405 0.6528 0.2320
```

Going by the computed energies, the most stable comes first: (Q), (P).